[1]
Here is Li2Mn5Fe2O12 after structural relaxation from Materials Project. Energies are from GGA+U.

Cell: 5.1703 9.0064 9.9146 Å, 90.00 102.92 90.00°
Space group P2_1 (No. 4)
One atom of each set of equivalent atoms:
Li: 0.0025 0.0000 0.2370 (multiplicity 2)
Li: 0.2429 0.6547 0.0109 (multiplicity 2)
Mn: 0.0072 0.8309 0.7579 (multiplicity 2)
Mn: 0.2431 0.1685 0.4988 (multiplicity 2)
Mn: 0.2554 0.0001 0.0027 (multiplicity 2)
Mn: 0.2594 0.5146 0.5012 (multiplicity 2)
Mn: 0.4963 0.3149 0.7594 (multiplicity 2)
Fe: 0.2664 0.8383 0.5164 (multiplicity 2)
Fe: 0.2715 0.3161 0.0135 (multiplicity 2)
O: 0.0947 0.4717 0.1128 (multiplicity 2)
O: 0.0966 0.0140 0.6003 (multiplicity 2)
O: 0.0976 0.6747 0.6279 (multiplicity 2)
O: 0.1253 0.1548 0.1091 (multiplicity 2)
O: 0.1552 0.8457 0.1226 (multiplicity 2)
O: 0.1598 0.3353 0.6144 (multiplicity 2)
O: 0.3333 0.3280 0.3826 (multiplicity 2)
O: 0.3514 0.8440 0.8842 (multiplicity 2)
O: 0.3732 0.1594 0.9004 (multiplicity 2)
O: 0.3778 0.0113 0.3966 (multiplicity 2)
O: 0.3857 0.4661 0.8808 (multiplicity 2)
O: 0.4066 0.6797 0.3886 (multiplicity 2)

Calculated values
Excess energy over the best structure of this formula in the dataset: 1.49 eV/f.u.

***

[2]
Here is VO2F after structural relaxation from Materials Project. Energies are from GGA+U.

Cell: 5.1809 5.3180 11.5864 Å, 100.88 102.19 90.95°
Space group P1 (No. 1)
One atom of each set of equivalent atoms:
V: 0.0000 0.0000 0.0000 (multiplicity 1)
V: 0.0920 0.1157 0.3334 (multiplicity 1)
V: 0.3384 0.2781 0.6671 (multiplicity 1)
V: 0.4906 0.4950 0.0072 (multiplicity 1)
V: 0.6221 0.6107 0.3405 (multiplicity 1)
V: 0.8212 0.8261 0.6734 (multiplicity 1)
O: 0.0923 0.0221 0.6808 (multiplicity 1)
O: 0.1213 0.2063 0.4815 (multiplicity 1)
O: 0.1265 0.0466 0.1473 (multiplicity 1)
O: 0.1547 0.2335 0.9557 (multiplicity 1)
O: 0.4302 0.3559 0.3434 (multiplicity 1)
O: 0.4533 0.3729 0.8139 (multiplicity 1)
O: 0.4593 0.5523 0.1501 (multiplicity 1)
O: 0.5667 0.0641 0.6263 (multiplicity 1)
O: 0.7579 0.6796 0.0100 (multiplicity 1)
O: 0.7799 0.7084 0.4837 (multiplicity 1)
O: 0.7941 0.8696 0.8172 (multiplicity 1)
O: 0.8249 0.9079 0.2913 (multiplicity 1)
F: 0.0009 0.5121 0.6737 (multiplicity 1)
F: 0.2343 0.7343 0.9518 (multiplicity 1)
F: 0.3467 0.8532 0.3471 (multiplicity 1)
F: 0.4740 0.5695 0.6208 (multiplicity 1)
F: 0.6763 0.1772 0.0149 (multiplicity 1)
F: 0.9067 0.4118 0.2871 (multiplicity 1)

***

[3]
Here is Li2FeO3 after structural relaxation from Materials Project. Energies are from GGA+U.

Cell: 4.9796 5.0265 8.5546 Å, 90.00 90.00 90.00°
Space group Pnna (No. 52)
One atom of each set of equivalent atoms:
Li: 0.2500 0.0000 0.0752 (multiplicity 4)
Li: 0.2500 0.0000 0.7619 (multiplicity 4)
Fe: 0.2500 0.0000 0.4091 (multiplicity 4)
O: 0.0731 0.2184 0.5762 (multiplicity 8)
O: 0.1063 0.2500 0.2500 (multiplicity 4)

***

[4]
Here is Na2LiMnPCO7 after structural relaxation from Materials Project. Energies are from GGA+U.

Cell: 6.7774 8.8692 10.2318 Å, 89.13 89.95 89.91°
Space group P1 (No. 1)
One atom of each set of equivalent atoms:
Na: 0.0000 0.0000 0.0000 (multiplicity 1)
Na: 0.9999 0.0009 0.4977 (multiplicity 1)
Na: 0.0011 0.5118 0.2465 (multiplicity 1)
Na: 0.2457 0.3380 0.0012 (multiplicity 1)
Na: 0.2523 0.3398 0.5023 (multiplicity 1)
Na: 0.5025 0.0004 0.9995 (multiplicity 1)
Na: 0.5016 0.5109 0.7488 (multiplicity 1)
Na: 0.5023 0.5123 0.2463 (multiplicity 1)
Li: 0.0249 0.5294 0.7389 (multiplicity 1)
Li: 0.5223 0.9845 0.5070 (multiplicity 1)
Li: 0.7441 0.1654 0.2499 (multiplicity 1)
Li: 0.7560 0.1676 0.7475 (multiplicity 1)
Mn: 0.2530 0.8976 0.2357 (multiplicity 1)
Mn: 0.2558 0.8993 0.7330 (multiplicity 1)
Mn: 0.7526 0.6179 0.0101 (multiplicity 1)
Mn: 0.7562 0.6154 0.5126 (multiplicity 1)
P: 0.2472 0.6644 0.9732 (multiplicity 1)
P: 0.2586 0.6694 0.4771 (multiplicity 1)
P: 0.7474 0.8532 0.2733 (multiplicity 1)
P: 0.7575 0.8480 0.7689 (multiplicity 1)
C: 0.2431 0.2030 0.7540 (multiplicity 1)
C: 0.2528 0.1974 0.2570 (multiplicity 1)
C: 0.7428 0.3003 0.4910 (multiplicity 1)
C: 0.7527 0.3078 0.9868 (multiplicity 1)
O: 0.0670 0.5723 0.0231 (multiplicity 1)
O: 0.0732 0.5824 0.5282 (multiplicity 1)
O: 0.2252 0.3483 0.7630 (multiplicity 1)
O: 0.2350 0.6794 0.8203 (multiplicity 1)
O: 0.2503 0.1358 0.1421 (multiplicity 1)
O: 0.2504 0.1387 0.6413 (multiplicity 1)
O: 0.2502 0.6815 0.3247 (multiplicity 1)
O: 0.2511 0.8249 0.0313 (multiplicity 1)
O: 0.2530 0.3421 0.2677 (multiplicity 1)
O: 0.2548 0.1103 0.3608 (multiplicity 1)
O: 0.2553 0.1181 0.8596 (multiplicity 1)
O: 0.2698 0.8322 0.5308 (multiplicity 1)
O: 0.4351 0.5722 0.0107 (multiplicity 1)
O: 0.4406 0.5725 0.5182 (multiplicity 1)
O: 0.5695 0.9493 0.2249 (multiplicity 1)
O: 0.5734 0.9378 0.7193 (multiplicity 1)
O: 0.7231 0.1594 0.4599 (multiplicity 1)
O: 0.7347 0.8331 0.4254 (multiplicity 1)
O: 0.7490 0.3417 0.6119 (multiplicity 1)
O: 0.7495 0.8316 0.9208 (multiplicity 1)
O: 0.7513 0.3452 0.1097 (multiplicity 1)
O: 0.7512 0.6934 0.2125 (multiplicity 1)
O: 0.7518 0.1675 0.9530 (multiplicity 1)
O: 0.7550 0.4114 0.8951 (multiplicity 1)
O: 0.7578 0.4017 0.3969 (multiplicity 1)
O: 0.7691 0.6857 0.7129 (multiplicity 1)
O: 0.9335 0.9482 0.2375 (multiplicity 1)
O: 0.9375 0.9477 0.7294 (multiplicity 1)

Calculated values
Excess energy over the best structure of this formula in the dataset: 0.09 eV/f.u.

***

[5]
Here is Mn3O4 after structural relaxation from Materials Project. Energies are from GGA+U.

Cell: 3.1726 10.4794 12.1492 Å, 90.00 90.00 90.00°
Space group Pbcm (No. 57)
One atom of each set of equivalent atoms:
Mn: 0.2411 0.1227 0.0442 (multiplicity 8)
Mn: 0.2573 0.5259 0.2500 (multiplicity 4)
O: 0.2424 0.1219 0.2500 (multiplicity 4)
O: 0.2558 0.5057 0.0948 (multiplicity 8)
O: 0.2632 0.7500 0.0000 (multiplicity 4)

***

[6]
Here is LiMn3B3O9 after structural relaxation from Materials Project. Energies are from GGA+U.

Cell: 5.7593 8.1285 9.1950 Å, 110.00 105.19 100.65°
Space group P-1 (No. 2)
One atom of each set of equivalent atoms:
Li: 0.1661 0.3466 0.2317 (multiplicity 2)
Mn: 0.1060 0.3460 0.5543 (multiplicity 2)
Mn: 0.2552 0.0030 0.1290 (multiplicity 2)
Mn: 0.4388 0.6773 0.1785 (multiplicity 2)
B: 0.0992 0.3529 0.8966 (multiplicity 2)
B: 0.2007 0.9627 0.7732 (multiplicity 2)
B: 0.4342 0.6718 0.5311 (multiplicity 2)
O: 0.0807 0.9094 0.8695 (multiplicity 2)
O: 0.1098 0.8869 0.6061 (multiplicity 2)
O: 0.1455 0.7672 0.1847 (multiplicity 2)
O: 0.1819 0.5507 0.4447 (multiplicity 2)
O: 0.2042 0.4277 0.0654 (multiplicity 2)
O: 0.2409 0.3896 0.8030 (multiplicity 2)
O: 0.4298 0.1051 0.8562 (multiplicity 2)
O: 0.4335 0.3040 0.5715 (multiplicity 2)
O: 0.4598 0.2640 0.3038 (multiplicity 2)

Calculated values
Excess energy over the best structure of this formula in the dataset: 0.06 eV/f.u.

***

[7]
Here is Li3NiOF3 after structural relaxation from Materials Project. Energies are from GGA+U.

Cell: 9.7004 2.9573 10.1155 Å, 90.00 100.31 90.00°
Space group C2/m (No. 12)
One atom of each set of equivalent atoms:
Li: 0.0000 0.0000 0.0000 (multiplicity 2)
Li: 0.0000 0.0000 0.5000 (multiplicity 2)
Li: 0.0039 0.5000 0.2556 (multiplicity 4)
Li: 0.2505 0.0000 0.8812 (multiplicity 4)
Ni: 0.2450 0.0000 0.3832 (multiplicity 4)
O: 0.1258 0.5000 0.4346 (multiplicity 4)
F: 0.1245 0.5000 0.9394 (multiplicity 4)
F: 0.1263 0.0000 0.1815 (multiplicity 4)
F: 0.1315 0.0000 0.6994 (multiplicity 4)

Calculated values
Excess energy over the best structure of this formula in the dataset: 0.31 eV/f.u.

***

[8]
Here is NiP2H8O10 after structural relaxation from Materials Project. Energies are from GGA+U.

Cell: 5.3396 9.9197 8.6674 Å, 90.00 124.01 90.00°
Space group P2_1/c (No. 14)
One atom of each set of equivalent atoms:
Ni: 0.0000 0.0000 0.0000 (multiplicity 2)
P: 0.0962 0.2164 0.3355 (multiplicity 4)
H: 0.1180 0.7219 0.0131 (multiplicity 4)
H: 0.4178 0.0769 0.8392 (multiplicity 4)
H: 0.4265 0.5496 0.2353 (multiplicity 4)
H: 0.4539 0.1095 0.5963 (multiplicity 4)
O: 0.0117 0.6708 0.3609 (multiplicity 4)
O: 0.1380 0.1310 0.8641 (multiplicity 4)
O: 0.1435 0.6675 0.1223 (multiplicity 4)
O: 0.4028 0.1402 0.4711 (multiplicity 4)
O: 0.4610 0.5357 0.7055 (multiplicity 4)

***

[9]
Here is Na3CoPCO7 after structural relaxation from Materials Project. Energies are from GGA+U.

Cell: 8.5351 8.5357 10.2143 Å, 107.41 107.41 104.16°
Space group P-1 (No. 2)
One atom of each set of equivalent atoms:
Na: 0.0104 0.0187 0.2728 (multiplicity 2)
Na: 0.0534 0.3035 0.0828 (multiplicity 2)
Na: 0.2314 0.7396 0.7272 (multiplicity 2)
Na: 0.2684 0.7602 0.2727 (multiplicity 2)
Na: 0.4466 0.1966 0.9172 (multiplicity 2)
Na: 0.4895 0.4814 0.7272 (multiplicity 2)
Co: 0.0632 0.3134 0.6538 (multiplicity 2)
Co: 0.4368 0.1869 0.3467 (multiplicity 2)
P: 0.1909 0.4408 0.4157 (multiplicity 2)
P: 0.3092 0.0592 0.5844 (multiplicity 2)
C: 0.2383 0.4883 0.9390 (multiplicity 2)
C: 0.2617 0.0118 0.0609 (multiplicity 2)
O: 0.0597 0.3099 0.4484 (multiplicity 2)
O: 0.0850 0.5198 0.3173 (multiplicity 2)
O: 0.0962 0.3469 0.8809 (multiplicity 2)
O: 0.1640 0.9141 0.4343 (multiplicity 2)
O: 0.1772 0.9271 0.9175 (multiplicity 2)
O: 0.2088 0.9585 0.1531 (multiplicity 2)
O: 0.2302 0.1653 0.6826 (multiplicity 2)
O: 0.2696 0.3347 0.3173 (multiplicity 2)
O: 0.2914 0.5410 0.8467 (multiplicity 2)
O: 0.3229 0.5729 0.0823 (multiplicity 2)
O: 0.3360 0.5860 0.5657 (multiplicity 2)
O: 0.4033 0.1536 0.1192 (multiplicity 2)
O: 0.4153 0.9802 0.6826 (multiplicity 2)
O: 0.4402 0.1902 0.5516 (multiplicity 2)

Calculated values
Excess energy over the best structure of this formula in the dataset: 0.00 eV/f.u.

***

[10]
Here is MgCr4O10 after structural relaxation from Materials Project. Energies are from GGA+U.

Cell: 3.7048 10.9400 4.7668 Å, 90.00 90.22 90.00°
Space group Pm (No. 6)
One atom of each set of equivalent atoms:
Mg: 0.0000 0.0000 0.0000 (multiplicity 1)
Cr: 0.0053 0.3463 0.2336 (multiplicity 2)
Cr: 0.5052 0.1543 0.4439 (multiplicity 2)
O: 0.0050 0.1751 0.3417 (multiplicity 2)
O: 0.0047 0.3493 0.9017 (multiplicity 2)
O: 0.0056 0.5000 0.3712 (multiplicity 1)
O: 0.5036 0.0000 0.2633 (multiplicity 1)
O: 0.5057 0.3216 0.3368 (multiplicity 2)
O: 0.5097 0.1198 0.7947 (multiplicity 2)

***

Here are the calculated energy numbers, same order: -6.877, -6.760, -5.614, -6.722, -7.478, -7.575, -4.790, -5.758, -6.381, -6.848 (eV/atom).